Compound: TaI4
Source: the Materials Project database
Functional: PBE-GGA
Structure: relaxed

CIF file:
```
data_TaI4
_cell_length_a 7.649
_cell_length_b 11.120
_cell_length_c 11.269
_cell_angle_alpha 81.85
_cell_angle_beta 88.42
_cell_angle_gamma 74.47
_space_group_name_H-M_alt 'P -1'
_space_group_IT_number 2
_space_group_name_Hall '-P 1'
loop_
_atom_site_label
_atom_site_fract_x
_atom_site_fract_y
_atom_site_fract_z
Ta1 0.112 0.409 0.338
Ta2 0.188 0.174 0.223
I1 0.028 0.189 0.460
I2 0.059 0.949 0.832
I3 0.106 0.603 0.848
I4 0.197 0.614 0.223
I5 0.225 0.448 0.570
I6 0.336 0.209 0.008
I7 0.411 0.940 0.303
I8 0.463 0.260 0.331
```

total DFT energy (no corrections) = -4.05 eV per atom

Compound: TbNiGe2
Source: the Materials Project database
Functional: PBE-GGA
Structure: relaxed

CIF file:
```
data_TbNiGe2
_cell_length_a 4.142
_cell_length_b 16.597
_cell_length_c 4.192
_cell_angle_alpha 90.00
_cell_angle_beta 90.00
_cell_angle_gamma 90.00
_space_group_name_H-M_alt 'C m c m'
_space_group_IT_number 63
_space_group_name_Hall '-C 2c 2'
loop_
_atom_site_label
_atom_site_fract_x
_atom_site_fract_y
_atom_site_fract_z
Tb1 0.000 0.108 0.250
Ni1 0.000 0.320 0.250
Ge1 0.000 0.251 0.750
Ge2 0.000 0.458 0.250
```

total DFT energy (no corrections) = -5.63 eV per atom

Compound: Cd2GaAgSe2S2
Source: the Materials Project database
Functional: PBE-GGA
Structure: relaxed

CIF file:
```
data_Cd2GaAgSe2S2
_cell_length_a 6.904
_cell_length_b 4.168
_cell_length_c 7.344
_cell_angle_alpha 90.00
_cell_angle_beta 90.63
_cell_angle_gamma 90.00
_space_group_name_H-M_alt 'P 1 m 1'
_space_group_IT_number 6
_space_group_name_Hall 'P -2y'
loop_
_atom_site_label
_atom_site_fract_x
_atom_site_fract_y
_atom_site_fract_z
Cd1 0.000 0.000 0.000
Cd2 0.469 0.000 0.331
Ga1 0.977 0.500 0.506
Ag1 0.460 0.500 0.855
Se1 0.328 0.500 0.514
Se2 0.844 0.500 0.813
S1 0.360 0.000 0.010
S2 0.860 0.000 0.353
```

total DFT energy (no corrections) = -3.34 eV per atom
energy above the lowest structure with this stoichiometry = 14 meV per atom

Compound: MgH
Source: the Materials Project database
Functional: PBE-GGA
Structure: relaxed

CIF file:
```
data_MgH
_cell_length_a 3.2923
_cell_length_b 3.2923
_cell_length_c 5.4167
_cell_angle_alpha 90.00
_cell_angle_beta 90.00
_cell_angle_gamma 120.00
_space_group_name_H-M_alt 'P 63 m c'
_space_group_IT_number 186
_space_group_name_Hall 'P 6c -2c'
loop_
_atom_site_label
_atom_site_fract_x
_atom_site_fract_y
_atom_site_fract_z
Mg1 0.3333 0.6667 0.0000
H1 0.3333 0.6667 0.6249
```

total DFT energy (no corrections) = -2.30 eV per atom

Compound: K2RbInBr6
Source: the Materials Project database
Functional: PBE-GGA
Structure: relaxed

CIF file:
```
data_K2RbInBr6
_cell_length_a 11.860
_cell_length_b 11.860
_cell_length_c 11.860
_cell_angle_alpha 90.00
_cell_angle_beta 90.00
_cell_angle_gamma 90.00
_space_group_name_H-M_alt 'F m -3 m'
_space_group_IT_number 225
_space_group_name_Hall '-F 4 2 3'
loop_
_atom_site_label
_atom_site_fract_x
_atom_site_fract_y
_atom_site_fract_z
K1 0.250 0.250 0.250
Rb1 0.000 0.000 0.000
In1 0.000 0.000 0.500
Br1 0.000 0.000 0.272
```

total DFT energy (no corrections) = -2.90 eV per atom

Compound: As2S3
Source: the Materials Project database
Functional: PBE-GGA
Structure: relaxed

CIF file:
```
data_As2S3
_cell_length_a 4.601
_cell_length_b 11.007
_cell_length_c 12.260
_cell_angle_alpha 90.00
_cell_angle_beta 111.74
_cell_angle_gamma 90.00
_space_group_name_H-M_alt 'P 1 21/c 1'
_space_group_IT_number 14
_space_group_name_Hall '-P 2ybc'
loop_
_atom_site_label
_atom_site_fract_x
_atom_site_fract_y
_atom_site_fract_z
As1 0.075 0.190 0.230
As2 0.364 0.182 0.520
S1 0.057 0.725 0.622
S2 0.157 0.127 0.658
S3 0.406 0.637 0.406
```

total DFT energy (no corrections) = -4.47 eV per atom

Compound: CeTa7O19
Source: the Materials Project database
Functional: PBE-GGA
Structure: relaxed

CIF file:
```
data_CeTa7O19
_cell_length_a 6.2943
_cell_length_b 6.2943
_cell_length_c 20.1839
_cell_angle_alpha 90.00
_cell_angle_beta 90.00
_cell_angle_gamma 120.00
_space_group_name_H-M_alt 'P -6 c 2'
_space_group_IT_number 188
_space_group_name_Hall 'P -6c 2'
loop_
_atom_site_label
_atom_site_fract_x
_atom_site_fract_y
_atom_site_fract_z
Ce1 0.0000 0.0000 0.0000
Ta1 0.3347 0.0259 0.1560
Ta2 0.6667 0.3333 0.0000
O1 0.0000 0.0000 0.1325
O2 0.0882 0.4212 0.6533
O3 0.2956 0.0428 0.2500
O4 0.3841 0.0950 0.0564
O5 0.6667 0.3333 0.1655
```

total DFT energy (no corrections) = -9.70 eV per atom
energy above the lowest structure with this stoichiometry = 0 meV per atom

Compound: InCuP2Se6
Source: the Materials Project database
Functional: PBE-GGA
Structure: relaxed

CIF file:
```
data_InCuP2Se6
_cell_length_a 6.4500
_cell_length_b 6.4500
_cell_length_c 13.9889
_cell_angle_alpha 90.00
_cell_angle_beta 90.00
_cell_angle_gamma 120.00
_space_group_name_H-M_alt 'P -3 1 c'
_space_group_IT_number 163
_space_group_name_Hall '-P 3 2c'
loop_
_atom_site_label
_atom_site_fract_x
_atom_site_fract_y
_atom_site_fract_z
In1 0.0000 0.0000 0.2500
Cu1 0.3333 0.6667 0.2500
P1 0.3333 0.6667 0.6689
Se1 0.0070 0.3501 0.3727
```

total DFT energy (no corrections) = -4.06 eV per atom

Compound: Ti3TlN
Source: the Materials Project database
Functional: PBE-GGA
Structure: relaxed

CIF file:
```
data_Ti3TlN
_cell_length_a 4.214
_cell_length_b 4.214
_cell_length_c 4.214
_cell_angle_alpha 90.00
_cell_angle_beta 90.00
_cell_angle_gamma 90.00
_space_group_name_H-M_alt 'P m -3 m'
_space_group_IT_number 221
_space_group_name_Hall '-P 4 2 3'
loop_
_atom_site_label
_atom_site_fract_x
_atom_site_fract_y
_atom_site_fract_z
Ti1 0.000 0.000 0.500
Tl1 0.500 0.500 0.500
N1 0.000 0.000 0.000
```

total DFT energy (no corrections) = -7.63 eV per atom

Compound: Cs3Nb2S11
Source: the Materials Project database
Functional: PBE-GGA
Structure: relaxed

CIF file:
```
data_Cs3Nb2S11
_cell_length_a 12.350
_cell_length_b 8.368
_cell_length_c 20.121
_cell_angle_alpha 90.00
_cell_angle_beta 102.48
_cell_angle_gamma 90.00
_space_group_name_H-M_alt 'P 1 21/c 1'
_space_group_IT_number 14
_space_group_name_Hall '-P 2ybc'
loop_
_atom_site_label
_atom_site_fract_x
_atom_site_fract_y
_atom_site_fract_z
Cs1 0.006 0.181 0.338
Cs2 0.226 0.181 0.119
Cs3 0.463 0.159 0.358
Nb1 0.195 0.722 0.994
Nb2 0.292 0.645 0.341
S1 0.001 0.620 0.986
S2 0.087 0.529 0.455
S3 0.114 0.723 0.843
S4 0.210 0.611 0.783
S5 0.238 0.060 0.770
S6 0.250 0.050 0.470
S7 0.250 0.747 0.607
S8 0.253 0.515 0.451
S9 0.364 0.628 0.960
S10 0.476 0.721 0.320
S11 0.481 0.579 0.405
```

total DFT energy (no corrections) = -5.13 eV per atom

Compound: Ta3PbS6
Source: the Materials Project database
Functional: PBE-GGA
Structure: relaxed

CIF file:
```
data_Ta3PbS6
_cell_length_a 5.8214
_cell_length_b 5.8214
_cell_length_c 15.0604
_cell_angle_alpha 90.00
_cell_angle_beta 90.00
_cell_angle_gamma 120.00
_space_group_name_H-M_alt 'P 63/m c m'
_space_group_IT_number 193
_space_group_name_Hall '-P 6c 2'
loop_
_atom_site_label
_atom_site_fract_x
_atom_site_fract_y
_atom_site_fract_z
Ta1 0.0000 0.0000 0.2500
Ta2 0.3333 0.6667 0.2500
Pb1 0.0000 0.0000 0.0000
S1 0.0000 0.3363 0.1467
```

total DFT energy (no corrections) = -7.45 eV per atom

Compound: CeLu3S6
Source: the Materials Project database
Functional: PBE-GGA
Structure: relaxed

CIF file:
```
data_CeLu3S6
_cell_length_a 10.966
_cell_length_b 3.923
_cell_length_c 11.181
_cell_angle_alpha 90.00
_cell_angle_beta 108.94
_cell_angle_gamma 90.00
_space_group_name_H-M_alt 'P 1 21/m 1'
_space_group_IT_number 11
_space_group_name_Hall '-P 2yb'
loop_
_atom_site_label
_atom_site_fract_x
_atom_site_fract_y
_atom_site_fract_z
Ce1 0.050 0.250 0.195
Lu1 0.160 0.250 0.586
Lu2 0.320 0.750 0.000
Lu3 0.443 0.250 0.334
S1 0.081 0.750 0.407
S2 0.120 0.250 0.964
S3 0.197 0.750 0.749
S4 0.269 0.750 0.230
S5 0.392 0.250 0.558
S6 0.478 0.250 0.112
```

total DFT energy (no corrections) = -6.50 eV per atom